Density functional theory data (GGA-PBE) for an optimized crystal structure of CaBi3P3O13.

Cell lengths 8.472, 7.131, 11.112 Å; angles 90.00, 100.01, 90.00 degrees
Fractional positions:
Ca  0.118  0.250  0.182
Ca  0.882  0.750  0.818
Bi  0.143  0.250  0.778
Bi  0.297  0.750  0.440
Bi  0.500  0.000  0.000
Bi  0.500  0.500  0.000
Bi  0.703  0.250  0.560
Bi  0.857  0.750  0.222
P  0.178  0.750  0.109
P  0.228  0.750  0.766
P  0.276  0.250  0.485
P  0.724  0.750  0.515
P  0.772  0.250  0.234
P  0.822  0.250  0.891
O  0.006  0.750  0.033
O  0.119  0.581  0.785
O  0.119  0.919  0.785
O  0.150  0.750  0.246
O  0.151  0.250  0.570
O  0.255  0.078  0.397
O  0.255  0.422  0.397
O  0.269  0.565  0.092
O  0.269  0.935  0.092
O  0.282  0.750  0.642
O  0.374  0.250  0.897
O  0.385  0.750  0.865
O  0.445  0.250  0.570
O  0.555  0.750  0.430
O  0.615  0.250  0.135
O  0.626  0.750  0.103
O  0.718  0.250  0.358
O  0.731  0.065  0.908
O  0.731  0.435  0.908
O  0.745  0.578  0.603
O  0.745  0.922  0.603
O  0.849  0.750  0.430
O  0.850  0.250  0.754
O  0.881  0.081  0.215
O  0.881  0.419  0.215
O  0.994  0.250  0.967

Its symmetry is P2_1/m (11). The crystal system is monoclinic.

=====

Density functional theory data (GGA-PBE) for an optimized crystal structure of SiHg2O2F6.

Cell lengths 5.115, 9.081, 8.531 Å; angles 90.00, 112.57, 90.00 degrees
Fractional positions:
Si  0.000  0.000  0.000
Si  0.000  0.500  0.500
Hg  0.259  0.156  0.617
Hg  0.259  0.344  0.117
Hg  0.741  0.656  0.883
Hg  0.741  0.844  0.383
O  0.397  0.529  0.035
O  0.397  0.971  0.535
O  0.603  0.029  0.465
O  0.603  0.471  0.965
F  0.102  0.114  0.875
F  0.102  0.386  0.375
F  0.111  0.136  0.167
F  0.111  0.364  0.667
F  0.320  0.578  0.578
F  0.320  0.922  0.078
F  0.680  0.078  0.922
F  0.680  0.422  0.422
F  0.889  0.636  0.333
F  0.889  0.864  0.833
F  0.898  0.614  0.625
F  0.898  0.886  0.125

Its symmetry is P2_1/c (14). The crystal system is monoclinic.

=====

Density functional theory data (GGA-PBE) for an optimized crystal structure of SiN2F6.

Cell lengths 5.637, 5.637, 5.036 Å; angles 90.86, 90.86, 61.12 degrees
Fractional positions:
Si  0.000  0.000  0.000
N  0.246  0.246  0.276
N  0.754  0.754  0.724
F  0.101  0.692  0.829
F  0.110  0.110  0.756
F  0.308  0.899  0.171
F  0.692  0.101  0.829
F  0.890  0.890  0.244
F  0.899  0.308  0.171

The calculation puts the energy above the most stable polymorph in this dataset at 0 meV/atom. Its symmetry is C2/m (12). The crystal system is monoclinic.

=====

Taking the records one at a time from the top gives energy of formation values of -2.48; -2.00; -0.94 eV/atom.